A plane-wave DFT calculation with PBE+U was carried out for an optimized crystal structure of Li4V2P4H3O16.

abc: 4.9524 7.7140 8.3502
angles: 91.00 90.75 102.04
Last column: nearest neighbours and their distance in Å.
Fractional coordinates of all 29 atoms:
1 Li 0.0000 0.0000 0.0000  4 O 1.97-2.07
2 Li 0.1944 0.2993 0.7537  4 O 1.96-2.10
3 Li 0.4857 0.4653 0.2256  4 O 1.98-2.15
4 Li 0.7333 0.8253 0.5168  4 O 1.97-2.08
5 V 0.1075 0.1488 0.3729  6 O 2.15-2.24
6 V 0.6111 0.6431 0.8764  6 O 2.01-2.10
7 P 0.2318 0.8969 0.7188  4 O 1.52-1.61
8 P 0.4915 0.8938 0.2006  4 O 1.52-1.64
9 P 0.7204 0.4005 0.5458  4 O 1.52-1.64
10 P 0.9876 0.3889 0.0276  4 O 1.54-1.58
11 H 0.0678 0.6066 0.4718  1 O 0.98
12 H 0.1483 0.6751 0.2529  1 O 0.98
13 H 0.5528 0.1159 0.8549  1 O 1.01
14 O 0.0883 0.3557 0.1978  1 P 1.54
15 O 0.1277 0.9429 0.5555  1 P 1.52
16 O 0.2344 0.4916 0.9284  1 P 1.57
17 O 0.2688 0.9999 0.1767  1 P 1.52
18 O 0.3461 0.7046 0.2798  1 H 0.98
19 O 0.3571 0.0816 0.8105  1 H 1.01
20 O 0.4566 0.7864 0.7008  1 P 1.54
21 O 0.5011 0.3236 0.4202  1 P 1.52
22 O 0.5903 0.4465 0.7033  1 P 1.54
23 O 0.6173 0.8468 0.0422  1 P 1.54
24 O 0.7141 0.9695 0.3256  1 P 1.52
25 O 0.7692 0.5101 0.0472  1 P 1.58
26 O 0.8667 0.5912 0.4703  1 H 0.98
27 O 0.8696 0.2139 0.9341  1 P 1.55, 1 H 1.71
28 O 0.9450 0.2956 0.5696  1 P 1.52
29 O 0.9936 0.8067 0.8240  1 P 1.53

E_form: -2473 meV/atom
total moment: 5.00 μB/f.u.



A plane-wave DFT calculation with PBE+U was carried out for an optimized crystal structure of LiV3P2H4O12.

abc: 7.4667 10.5145 13.0471
angles: 90.00 116.20 90.00
Last column: nearest neighbours and their distance in Å.
Fractional coordinates of all 88 atoms:
1 Li 0.2254 0.1146 0.3344  3 O 2.02-2.13
2 Li 0.2254 0.3854 0.8344  3 O 2.02-2.13
3 Li 0.7746 0.6146 0.1656  3 O 2.02-2.13
4 Li 0.7746 0.8854 0.6656  3 O 2.02-2.13
5 V 0.0159 0.2382 0.9546  6 O 1.98-2.16
6 V 0.0159 0.2618 0.4546  6 O 1.98-2.16
7 V 0.2397 0.5664 0.2347  5 O 1.97-2.11
8 V 0.2397 0.9336 0.7347  5 O 1.97-2.11
9 V 0.4852 0.2176 0.0445  6 O 1.94-2.15
10 V 0.4852 0.2824 0.5445  6 O 1.94-2.15
11 V 0.5148 0.7176 0.4555  6 O 1.94-2.15
12 V 0.5148 0.7824 0.9555  6 O 1.94-2.15
13 V 0.7603 0.0664 0.2653  5 O 1.97-2.11
14 V 0.7603 0.4336 0.7653  5 O 1.97-2.11
15 V 0.9841 0.7382 0.5454  6 O 1.98-2.16
16 V 0.9841 0.7618 0.0454  6 O 1.98-2.16
17 P 0.0556 0.6887 0.8226  4 O 1.53-1.59
18 P 0.0556 0.8113 0.3226  4 O 1.53-1.59
19 P 0.4581 0.6796 0.6958  4 O 1.54-1.58
20 P 0.4581 0.8204 0.1958  4 O 1.54-1.58
21 P 0.5419 0.1796 0.8042  4 O 1.54-1.58
22 P 0.5419 0.3204 0.3042  4 O 1.54-1.58
23 P 0.9444 0.1887 0.6774  4 O 1.53-1.59
24 P 0.9444 0.3113 0.1774  4 O 1.53-1.59
25 H 0.2295 0.6086 0.0300  1 O 0.99
26 H 0.2295 0.8914 0.5300  1 O 0.99
27 H 0.2355 0.0453 0.0624  1 O 0.98
28 H 0.2355 0.4547 0.5624  1 O 0.98
29 H 0.2896 0.5059 0.4386  1 O 1.01
30 H 0.2896 0.9941 0.9386  1 O 1.01
31 H 0.2957 0.0984 0.5662  1 O 0.99
32 H 0.2957 0.4016 0.0662  1 O 0.99
33 H 0.7043 0.5984 0.9338  1 O 0.99
34 H 0.7043 0.9016 0.4338  1 O 0.99
35 H 0.7104 0.0059 0.0614  1 O 1.01
36 H 0.7104 0.4941 0.5614  1 O 1.01
37 H 0.7645 0.5453 0.4376  1 O 0.98
38 H 0.7645 0.9547 0.9376  1 O 0.98
39 H 0.7705 0.1086 0.4700  1 O 0.99
40 H 0.7705 0.3914 0.9700  1 O 0.99
41 O 0.0238 0.0540 0.7222  1 P 1.55
42 O 0.0238 0.4460 0.2222  1 P 1.55
43 O 0.0317 0.7240 0.2180  1 P 1.59
44 O 0.0317 0.7760 0.7180  1 P 1.59
45 O 0.0562 0.2404 0.1208  1 P 1.53
46 O 0.0562 0.2596 0.6208  1 P 1.53
47 O 0.1469 0.6053 0.0716  1 H 0.99
48 O 0.1469 0.8947 0.5716  1 H 0.99
49 O 0.2299 0.1039 0.0023  1 H 0.98
50 O 0.2299 0.3961 0.5023  1 H 0.98
51 O 0.2425 0.6343 0.6151  1 P 1.56
52 O 0.2425 0.8657 0.1151  1 P 1.56
53 O 0.2701 0.1467 0.4963  1 H 0.99
54 O 0.2701 0.3533 0.9963  1 H 0.99
55 O 0.2786 0.6666 0.9084  1 P 1.56
56 O 0.2786 0.8334 0.4084  1 P 1.56
57 O 0.3451 0.5690 0.4019  1 H 1.01
58 O 0.3451 0.9310 0.9019  1 H 1.01
59 O 0.4269 0.0671 0.7275  1 P 1.54
60 O 0.4269 0.4329 0.2275  1 P 1.54
61 O 0.4383 0.2360 0.8739  1 P 1.55
62 O 0.4383 0.2640 0.3739  1 P 1.55
63 O 0.4549 0.7121 0.2785  1 P 1.58
64 O 0.4549 0.7879 0.7785  1 P 1.58
65 O 0.5451 0.2121 0.2215  1 P 1.58
66 O 0.5451 0.2879 0.7215  1 P 1.58
67 O 0.5617 0.7360 0.6261  1 P 1.55
68 O 0.5617 0.7640 0.1261  1 P 1.55
69 O 0.5731 0.5671 0.7725  1 P 1.54
70 O 0.5731 0.9329 0.2725  1 P 1.54
71 O 0.6549 0.0690 0.0981  1 H 1.01
72 O 0.6549 0.4310 0.5981  1 H 1.01
73 O 0.7214 0.1666 0.5916  1 P 1.56
74 O 0.7214 0.3334 0.0916  1 P 1.56
75 O 0.7299 0.6467 0.0037  1 H 0.99
76 O 0.7299 0.8533 0.5037  1 H 0.99
77 O 0.7575 0.1343 0.8849  1 P 1.56
78 O 0.7575 0.3657 0.3849  1 P 1.56
79 O 0.7701 0.6039 0.4977  1 H 0.98
80 O 0.7701 0.8961 0.9977  1 H 0.98
81 O 0.8531 0.1053 0.4284  1 H 0.99
82 O 0.8531 0.3947 0.9284  1 H 0.99
83 O 0.9438 0.7404 0.3792  1 P 1.53
84 O 0.9438 0.7596 0.8792  1 P 1.53
85 O 0.9683 0.2240 0.2820  1 P 1.59
86 O 0.9683 0.2760 0.7820  1 P 1.59
87 O 0.9762 0.5540 0.7778  1 P 1.55
88 O 0.9762 0.9460 0.2778  1 P 1.55

E_form: -2291 meV/atom
total moment: 6.00 μB/f.u.



A plane-wave DFT calculation with PBE+U was carried out for an optimized crystal structure of Li2VP4H8O16.

abc: 6.7602 7.1316 7.3458
angles: 79.31 77.41 79.39
Last column: nearest neighbours and their distance in Å.
Fractional coordinates of all 31 atoms:
1 Li 0.1856 0.2234 0.2889  2 O 2.05-2.26
2 Li 0.8144 0.7766 0.7111  2 O 2.05-2.26
3 V 0.5000 0.0000 0.5000  6 O 2.17-2.18
4 P 0.2405 0.3207 0.7696  4 O 1.52-1.62
5 P 0.3054 0.7828 0.2331  4 O 1.52-1.61
6 P 0.6946 0.2172 0.7669  4 O 1.52-1.61
7 P 0.7595 0.6793 0.2304  4 O 1.52-1.62
8 H 0.0411 0.7740 0.0434  1 O 1.06
9 H 0.2269 0.5612 0.4843  1 O 1.06
10 H 0.3848 0.8165 0.8599  1 O 1.01
11 H 0.4021 0.6725 0.7196  1 O 1.00
12 H 0.5979 0.3275 0.2804  1 O 1.00
13 H 0.6152 0.1835 0.1401  1 O 1.01
14 H 0.7731 0.4388 0.5157  1 O 1.06
15 H 0.9589 0.2260 0.9566  1 O 1.06
16 O 0.0894 0.2856 0.9633  1 H 1.06
17 O 0.2169 0.8489 0.0548  1 H 1.41, 1 P 1.52
18 O 0.2211 0.5348 0.6842  1 H 1.44, 1 P 1.53
19 O 0.2323 0.5875 0.3364  1 H 1.06
20 O 0.2394 0.1884 0.6304  1 P 1.52
21 O 0.2710 0.9332 0.3638  1 P 1.52
22 O 0.4525 0.2656 0.8492  2 P 1.61-1.62
23 O 0.4746 0.7731 0.7423  2 H 1.00-1.01
24 O 0.5254 0.2269 0.2577  2 H 1.00-1.01
25 O 0.5475 0.7344 0.1508  2 P 1.61-1.62
26 O 0.7290 0.0668 0.6362  1 P 1.52
27 O 0.7606 0.8116 0.3696  1 P 1.52
28 O 0.7677 0.4125 0.6636  1 H 1.06
29 O 0.7789 0.4652 0.3158  1 H 1.44, 1 P 1.53
30 O 0.7831 0.1511 0.9452  1 H 1.41, 1 P 1.52
31 O 0.9106 0.7144 0.0367  1 H 1.06

E_form: -2095 meV/atom
total moment: 3.00 μB/f.u.



A plane-wave DFT calculation with PBE+U was carried out for an optimized crystal structure of LiVP3HO10.

abc: 6.5210 7.5360 8.2443
angles: 73.35 70.62 83.34
Last column: nearest neighbours and their distance in Å.
Fractional coordinates of all 32 atoms:
1 Li 0.2116 0.3143 0.4044  2 O 1.99-2.06
2 Li 0.7884 0.6857 0.5956  2 O 1.99-2.06
3 V 0.3107 0.3616 0.9799  7 O 2.05-2.28
4 V 0.6893 0.6384 0.0201  7 O 2.05-2.28
5 P 0.1216 0.6882 0.1645  4 O 1.51-1.63
6 P 0.1867 0.7543 0.6938  4 O 1.52-1.63
7 P 0.3628 0.9661 0.8661  4 O 1.50-1.61
8 P 0.6372 0.0339 0.1339  4 O 1.50-1.61
9 P 0.8133 0.2457 0.3062  4 O 1.52-1.63
10 P 0.8784 0.3118 0.8355  4 O 1.51-1.63
11 H 0.1847 0.7792 0.4240  1 O 1.02
12 H 0.8153 0.2208 0.5760  1 O 1.02
13 O 0.0263 0.3474 0.9297  1 P 1.51
14 O 0.0291 0.6801 0.3605  1 P 1.51, 1 H 1.62
15 O 0.0563 0.2799 0.2453  1 P 1.52
16 O 0.2023 0.9000 0.0659  2 P 1.60-1.63
17 O 0.2287 0.9391 0.7434  2 P 1.61-1.63
18 O 0.2623 0.8336 0.4865  1 H 1.02
19 O 0.3326 0.5618 0.1220  1 P 1.58
20 O 0.3340 0.5972 0.7558  1 P 1.52
21 O 0.3946 0.1695 0.8291  1 P 1.50
22 O 0.4382 0.1610 0.1580  1 P 1.51
23 O 0.5618 0.8390 0.8420  1 P 1.51
24 O 0.6054 0.8305 0.1709  1 P 1.50
25 O 0.6660 0.4028 0.2442  1 P 1.52
26 O 0.6674 0.4382 0.8780  1 P 1.58
27 O 0.7377 0.1664 0.5135  1 H 1.02
28 O 0.7713 0.0609 0.2566  2 P 1.61-1.63
29 O 0.7977 0.1000 0.9341  2 P 1.60-1.63
30 O 0.9437 0.7201 0.7547  1 P 1.52
31 O 0.9709 0.3199 0.6395  1 P 1.51, 1 H 1.62
32 O 0.9737 0.6526 0.0703  1 P 1.51

E_form: -2475 meV/atom
total moment: 2.00 μB/f.u.
relative energy among the computed polymorphs: 52.7 meV/atom